No. 1
# La3CBr5

A geometry-optimized La3CBr5 structure (GGA-PBE, the Materials Project database).

The structure in POSCAR format:
```
La3CBr5
1.0
-2.4138 -1.9918 8.4978
7.1040 -4.3571 3.5433
6.7109 10.3809 7.9362
La C Br
12 4 20
direct
0.6207 0.6609 0.5942
0.9896 0.7125 0.6740
0.3203 0.9850 0.0868
0.0104 0.2875 0.3260
0.6797 0.0150 0.9132
0.0150 0.6797 0.4132
0.9850 0.3203 0.5868
0.7125 0.9896 0.1740
0.3793 0.3391 0.4058
0.6609 0.6207 0.0942
0.3391 0.3793 0.9058
0.2875 0.0104 0.8260
0.1112 0.3953 0.4208
0.8888 0.6047 0.5792
0.3953 0.1112 0.9208
0.6047 0.8888 0.0792
0.9766 0.0234 0.7500
0.8813 0.6369 0.2278
0.6369 0.8813 0.7278
0.3604 0.6396 0.2500
0.6640 0.8783 0.4077
0.3814 0.7008 0.9819
0.6972 0.3028 0.2500
0.2992 0.6186 0.5181
0.6396 0.3604 0.7500
0.1217 0.3360 0.0923
0.3028 0.6972 0.7500
0.8783 0.6640 0.9077
0.3631 0.1187 0.2722
0.0000 0.0000 0.0000
0.0234 0.9766 0.2500
0.6186 0.2992 0.0181
0.3360 0.1217 0.5923
0.7008 0.3814 0.4819
0.1187 0.3631 0.7722
0.0000 0.0000 0.5000
```

Summary:
Total energy after the MP2020 corrections ... -199.2 eV/cell
Calculated formation energy ... -1.952 eV/atom
Calculated total energy ... -5.236 eV per atom

---

No. 2
# Ba2CoCl6

A geometry-optimized Ba2CoCl6 structure (GGA-PBE, the Materials Project database).

The structure in POSCAR format:
```
Ba2CoCl6
1.0
-2.7170 -5.3513 5.5725
8.4817 -3.5825 0.6952
11.2279 4.8274 10.1103
Ba Co Cl
8 4 24
direct
0.3905 0.0664 0.7950
0.8905 0.9336 0.7050
0.6095 0.9336 0.2050
0.1095 0.0664 0.2950
0.2799 0.4732 0.9045
0.7799 0.5268 0.5955
0.7201 0.5268 0.0955
0.2201 0.4732 0.4045
0.8571 0.2005 0.9323
0.3571 0.7995 0.5677
0.1429 0.7995 0.0677
0.6429 0.2005 0.4323
0.5792 0.2130 0.9613
0.0792 0.7870 0.5387
0.4208 0.7870 0.0387
0.9208 0.2130 0.4613
0.4195 0.4958 0.7031
0.9195 0.5042 0.7969
0.5805 0.5042 0.2969
0.0805 0.4958 0.2031
0.9284 0.2502 0.0699
0.4284 0.7498 0.4301
0.0716 0.7498 0.9301
0.5716 0.2502 0.5699
0.3543 0.1277 0.4273
0.8543 0.8723 0.0727
0.6457 0.8723 0.5727
0.1457 0.1277 0.9273
0.1010 0.2861 0.6336
0.6010 0.7139 0.8664
0.8990 0.7139 0.3664
0.3990 0.2861 0.1336
0.2333 0.8591 0.1972
0.7333 0.1409 0.3028
0.7667 0.1409 0.8028
0.2667 0.8591 0.6972
```

Summary:
Total energy after the MP2020 corrections ... -169.9 eV/cell
Calculated formation energy ... -2.270 eV/atom
Calculated total energy ... -4.309 eV per atom

---

No. 3
# TiNbHO5

A geometry-optimized TiNbHO5 structure (GGA-PBE, the Materials Project database).

The structure in POSCAR format:
```
TiNbHO5
1.0
-0.3992 -0.2703 3.7872
-4.5774 -4.6578 -0.8150
12.0372 -11.9029 0.4194
Ti Nb H O
4 4 4 20
direct
0.2500 0.3179 0.9660
0.2500 0.8179 0.5340
0.7500 0.6821 0.0340
0.7500 0.1821 0.4660
0.2500 0.7908 0.8776
0.2500 0.2908 0.6224
0.7500 0.2092 0.1224
0.7500 0.7092 0.3776
0.2500 0.4039 0.8124
0.2500 0.9039 0.6876
0.7500 0.5961 0.1876
0.7500 0.0961 0.3124
0.2500 0.4699 0.8673
0.2500 0.9699 0.6327
0.7500 0.5301 0.1327
0.7500 0.0301 0.3673
0.2500 0.0718 0.9232
0.2500 0.5718 0.5768
0.7500 0.9282 0.0768
0.7500 0.4282 0.4232
0.2500 0.6396 0.0077
0.2500 0.1396 0.4923
0.7500 0.3604 0.9923
0.7500 0.8604 0.5077
0.2500 0.8347 0.7748
0.2500 0.3347 0.7252
0.7500 0.1653 0.2252
0.7500 0.6653 0.2748
0.2500 0.2352 0.0867
0.2500 0.7352 0.4133
0.7500 0.7648 0.9133
0.7500 0.2648 0.5867
```

Summary:
Total energy after the MP2020 corrections ... -276.2 eV/cell
Calculated formation energy ... -2.866 eV/atom
Calculated total energy ... -8.202 eV per atom

---

No. 4
# NiB3W3

A geometry-optimized NiB3W3 structure (GGA-PBE, the Materials Project database).

The structure in POSCAR format:
```
NiB3W3
1.0
1.6028 -4.2211 0.0000
1.6028 4.2211 0.0000
0.0000 0.0000 10.7907
Ni B W
2 6 6
direct
0.5000 0.5000 0.5000
0.5000 0.5000 0.0000
0.0886 0.9114 0.3957
0.9114 0.0886 0.6043
0.0886 0.9114 0.1043
0.9114 0.0886 0.8957
0.2093 0.7907 0.2500
0.7907 0.2093 0.7500
0.7882 0.2118 0.3915
0.2118 0.7882 0.6085
0.7882 0.2118 0.1085
0.2118 0.7882 0.8915
0.5026 0.4974 0.2500
0.4974 0.5026 0.7500
```

Summary:
Calculated formation energy ... -0.423 eV/atom
Calculated total energy ... -9.665 eV per atom

---

No. 5
# Ba3TaN3Cl2

A geometry-optimized Ba3TaN3Cl2 structure (GGA-PBE, the Materials Project database).

The structure in POSCAR format:
```
Ba3TaN3Cl2
1.0
7.6199 -13.1980 0.0000
7.6199 13.1980 0.0000
0.0000 0.0000 6.4633
Ba Ta N Cl
18 6 18 12
direct
0.7999 0.7999 0.5018
0.0000 0.2001 0.5018
0.2001 0.0000 0.5018
0.2001 0.2001 0.0018
0.0000 0.7999 0.0018
0.7999 0.0000 0.0018
0.1590 0.6900 0.4368
0.5309 0.8410 0.4368
0.3100 0.4691 0.4368
0.6900 0.1590 0.4368
0.8410 0.5309 0.4368
0.4691 0.3100 0.4368
0.8410 0.3100 0.9368
0.4691 0.1590 0.9368
0.6900 0.5309 0.9368
0.3100 0.8410 0.9368
0.1590 0.4691 0.9368
0.5309 0.6900 0.9368
0.5766 0.5766 0.4712
0.0000 0.4234 0.4712
0.4234 0.0000 0.4712
0.4234 0.4234 0.9712
0.0000 0.5766 0.9712
0.5766 0.0000 0.9712
0.5122 0.5122 0.1973
0.0000 0.4878 0.1973
0.4878 0.0000 0.1973
0.4878 0.4878 0.6973
0.0000 0.5122 0.6973
0.5122 0.0000 0.6973
0.1144 0.7103 0.0111
0.5959 0.8856 0.0111
0.2897 0.4041 0.0111
0.7103 0.1144 0.0111
0.8856 0.5959 0.0111
0.4041 0.2897 0.0111
0.8856 0.2897 0.5111
0.4041 0.1144 0.5111
0.7103 0.5959 0.5111
0.2897 0.8856 0.5111
0.1144 0.4041 0.5111
0.5959 0.7103 0.5111
0.0000 0.0000 0.2499
0.0000 0.0000 0.7499
0.3333 0.6667 0.2005
0.6667 0.3333 0.2005
0.6667 0.3333 0.7005
0.3333 0.6667 0.7005
0.7711 0.7711 0.9975
0.0000 0.2289 0.9975
0.2289 0.0000 0.9975
0.2289 0.2289 0.4975
0.0000 0.7711 0.4975
0.7711 0.0000 0.4975
```

Summary:
Total energy after the MP2020 corrections ... -370.1 eV/cell
Calculated formation energy ... -1.707 eV/atom
Calculated total energy ... -6.717 eV per atom

---

No. 6
# AgMo6Cl13

A geometry-optimized AgMo6Cl13 structure (GGA-PBE, the Materials Project database).

The structure in POSCAR format:
```
AgMo6Cl13
1.0
9.1053 0.0000 0.0000
-3.8062 8.3785 0.0000
-3.0476 -3.0645 13.5089
Ag Mo Cl
2 12 26
direct
0.0180 0.2525 0.7726
0.9820 0.7475 0.2274
0.3143 0.3819 0.5426
0.6857 0.6181 0.4574
0.3631 0.5445 0.4014
0.6369 0.4555 0.5986
0.7025 0.0029 0.0642
0.2975 0.9971 0.9358
0.6049 0.2275 0.0256
0.3951 0.7725 0.9744
0.4560 0.3103 0.4131
0.5440 0.6897 0.5869
0.4473 0.0102 0.1198
0.5527 0.9898 0.8802
0.0671 0.2229 0.5972
0.9329 0.7771 0.4028
0.2370 0.6112 0.5285
0.7630 0.3888 0.4715
0.7458 0.5270 0.0662
0.2542 0.4730 0.9338
0.1605 0.7886 0.0290
0.8395 0.2114 0.9710
0.4124 0.1669 0.5513
0.5876 0.8331 0.4487
0.5081 0.4762 0.2861
0.4919 0.5238 0.7139
0.3541 0.2163 0.0742
0.6459 0.7837 0.9258
0.5415 0.7965 0.1498
0.4585 0.2035 0.8502
0.3898 0.0472 0.2907
0.6102 0.9528 0.7093
0.7414 0.2267 0.1973
0.2586 0.7733 0.8027
0.9642 0.9945 0.1470
0.0358 0.0055 0.8530
0.1543 0.2516 0.3674
0.8457 0.7484 0.6326
0.1800 0.5911 0.2662
0.8200 0.4089 0.7338
```

Summary:
Total energy after the MP2020 corrections ... -235.2 eV/cell
Calculated formation energy ... -1.283 eV/atom
Calculated total energy ... -5.481 eV per atom

---

No. 7
# Tb2Ge2Ru

A geometry-optimized Tb2Ge2Ru structure (GGA-PBE, the Materials Project database).

The structure in POSCAR format:
```
Tb2Ge2Ru
1.0
-5.0699 -1.0626 2.6998
-1.7427 -2.7404 4.8554
-2.2094 5.9666 8.0541
Tb Ge Ru
4 4 2
direct
0.3158 0.3158 0.6120
0.6842 0.6842 0.3880
0.5020 0.5020 0.8263
0.4980 0.4980 0.1737
0.1458 0.1458 0.9356
0.8542 0.8542 0.0644
0.0105 0.0105 0.6250
0.9895 0.9895 0.3750
0.2286 0.2286 0.1279
0.7714 0.7714 0.8721
```

Summary:
Calculated formation energy ... -0.796 eV/atom
Calculated total energy ... -6.354 eV per atom

---

No. 8
# Tb2AgIr

A geometry-optimized Tb2AgIr structure (GGA-PBE, the Materials Project database).

The structure in POSCAR format:
```
Tb2AgIr
1.0
0.0000 3.5338 3.5338
3.5338 0.0000 3.5338
3.5338 3.5338 0.0000
Tb Ag Ir
2 1 1
direct
0.7500 0.7500 0.7500
0.2500 0.2500 0.2500
0.5000 0.5000 0.5000
0.0000 0.0000 0.0000
```

Summary:
Calculated formation energy ... -0.594 eV/atom
Calculated total energy ... -5.829 eV per atom

---

No. 9
# MgSi

A geometry-optimized MgSi structure (GGA-PBE, the Materials Project database).

The structure in POSCAR format:
```
MgSi
1.0
-5.3313 0.0000 0.0000
1.4537 6.0568 0.0000
-0.3603 -2.6704 -14.0299
Mg Si
12 12
direct
0.1269 0.6014 0.2638
0.3663 0.6933 0.5803
0.7111 0.6689 0.9439
0.0697 0.0988 0.2692
0.3488 0.2163 0.6190
0.7656 0.1719 0.9226
0.6337 0.3067 0.4197
0.9303 0.9012 0.7308
0.2344 0.8281 0.0774
0.6512 0.7837 0.3810
0.8731 0.3986 0.7362
0.2889 0.3311 0.0561
0.5442 0.9959 0.2361
0.8180 0.1072 0.5662
0.1934 0.9683 0.9043
0.5505 0.4021 0.2378
0.8747 0.7109 0.5428
0.1851 0.5452 0.9007
0.1253 0.2891 0.4572
0.4558 0.0041 0.7639
0.8149 0.4548 0.0993
0.1820 0.8928 0.4338
0.4495 0.5979 0.7622
0.8066 0.0317 0.0957
```

Summary:
Total energy after the MP2020 corrections ... -82.3 eV/cell
Calculated formation energy ... 0.083 eV/atom
Calculated total energy ... -3.466 eV per atom

---

No. 10
# KNd2CuS4

A geometry-optimized KNd2CuS4 structure (GGA-PBE, the Materials Project database).

The structure in POSCAR format:
```
KNd2CuS4
1.0
2.0366 -6.9667 0.0000
2.0366 6.9667 0.0000
0.0000 0.0000 14.0388
K Nd Cu S
2 4 2 8
direct
0.1076 0.8924 0.2500
0.8924 0.1076 0.7500
0.6346 0.3654 0.9375
0.3654 0.6346 0.4375
0.6346 0.3654 0.5625
0.3654 0.6346 0.0625
0.1624 0.8376 0.7500
0.8376 0.1624 0.2500
0.0000 0.0000 0.5000
0.0000 0.0000 0.0000
0.7372 0.2628 0.1151
0.2628 0.7372 0.8849
0.5701 0.4299 0.7500
0.7372 0.2628 0.3849
0.4299 0.5701 0.2500
0.2628 0.7372 0.6151
```

Summary:
Total energy after the MP2020 corrections ... -92.6 eV/cell
Calculated formation energy ... -1.877 eV/atom
Calculated total energy ... -5.537 eV per atom

---

No. 11
# SmSiO3

A geometry-optimized SmSiO3 structure (GGA-PBE, the Materials Project database).

The structure in POSCAR format:
```
SmSiO3
1.0
3.7685 0.0000 0.0000
0.0000 3.7685 0.0000
0.0000 0.0000 3.7685
Sm Si O
1 1 3
direct
0.0000 0.0000 0.0000
0.5000 0.5000 0.5000
0.5000 0.5000 0.0000
0.5000 0.0000 0.5000
0.0000 0.5000 0.5000
```

Summary:
Total energy after the MP2020 corrections ... -39.2 eV/cell
Calculated formation energy ... -2.836 eV/atom
Calculated total energy ... -7.422 eV per atom